DFT (PBE) results for a geometry-optimized PrBiRh structure.

Unit cell a=7.5584 b=4.8878 c=7.9910 alpha=90.00 beta=90.00 gamma=90.00
Fractional positions:
Pr 0.0154 0.2500 0.2030
Pr 0.4846 0.7500 0.7030
Pr 0.5154 0.2500 0.2970
Pr 0.9846 0.7500 0.7970
Bi 0.1886 0.2500 0.5923
Bi 0.3114 0.7500 0.0923
Bi 0.6886 0.2500 0.9077
Bi 0.8114 0.7500 0.4077
Rh 0.2041 0.7500 0.4283
Rh 0.2959 0.2500 0.9283
Rh 0.7041 0.7500 0.0717
Rh 0.7959 0.2500 0.5717

Output
Its energy relative to the elements is -0.712 eV/atom.



DFT (PBE) results for a geometry-optimized Pr2ZnBi4 structure.

Unit cell a=4.6165 b=4.6165 c=10.0965 alpha=90.00 beta=90.00 gamma=90.00
Fractional positions:
Pr 0.0000 0.5000 0.2398
Pr 0.5000 0.0000 0.7602
Zn 0.0000 0.0000 0.0000
Bi 0.0000 0.0000 0.5000
Bi 0.0000 0.5000 0.8404
Bi 0.5000 0.0000 0.1596
Bi 0.5000 0.5000 0.5000

Output
Its energy relative to the elements is -0.558 eV/atom.



DFT (PBE) results for a geometry-optimized Bi2Pt structure.

Unit cell a=6.7102 b=4.1968 c=5.9270 alpha=90.00 beta=91.84 gamma=90.00
Fractional positions:
Bi 0.1605 0.0000 0.2625
Bi 0.3395 0.5000 0.7375
Bi 0.6605 0.5000 0.2625
Bi 0.8395 0.0000 0.7375
Pt 0.0000 0.5000 0.0000
Pt 0.5000 0.0000 0.0000

Output
The value obtained for the total moment is 0.000 μB/atom. Its energy relative to the elements is -0.198 eV/atom.



DFT (PBE) results for a geometry-optimized BiPt structure.

Unit cell a=4.4151 b=4.4151 c=5.5904 alpha=90.00 beta=90.00 gamma=120.00
Fractional positions:
Bi 0.3333 0.6667 0.2500
Bi 0.6667 0.3333 0.7500
Pt 0.0000 0.0000 0.0000
Pt 0.0000 0.0000 0.5000

Output
Its energy relative to the elements is -0.273 eV/atom.



DFT (PBE) results for a geometry-optimized Bi2Pt structure.

Unit cell a=6.6511 b=6.6511 c=6.3212 alpha=90.00 beta=90.00 gamma=120.00
Fractional positions:
Bi 0.0000 0.0000 0.0000
Bi 0.0000 0.6095 0.3912
Bi 0.3333 0.6667 0.8735
Bi 0.3905 0.3905 0.3912
Bi 0.6095 0.0000 0.3912
Bi 0.6667 0.3333 0.8735
Pt 0.0000 0.2628 0.6607
Pt 0.2628 0.0000 0.6607
Pt 0.7372 0.7372 0.6607

Output
Its energy relative to the elements is -0.221 eV/atom.



DFT (PBE) results for a geometry-optimized Bi2Pt structure.

Unit cell a=6.8332 b=6.8332 c=6.8332 alpha=90.00 beta=90.00 gamma=90.00
Fractional positions:
Bi 0.1299 0.1299 0.1299
Bi 0.1299 0.3701 0.6299
Bi 0.3701 0.6299 0.1299
Bi 0.3701 0.8701 0.6299
Bi 0.6299 0.1299 0.3701
Bi 0.6299 0.3701 0.8701
Bi 0.8701 0.6299 0.3701
Bi 0.8701 0.8701 0.8701
Pt 0.0000 0.0000 0.5000
Pt 0.0000 0.5000 0.0000
Pt 0.5000 0.0000 0.0000
Pt 0.5000 0.5000 0.5000

Output
Its energy relative to the elements is -0.238 eV/atom.



DFT (PBE) results for a geometry-optimized Bi2Pt structure.

Unit cell a=6.8727 b=6.9298 c=13.6190 alpha=90.00 beta=90.00 gamma=90.00
Fractional positions:
Bi 0.1285 0.0383 0.1859
Bi 0.1285 0.4617 0.6859
Bi 0.1399 0.6941 0.9355
Bi 0.1399 0.8059 0.4355
Bi 0.3601 0.1941 0.9355
Bi 0.3601 0.3059 0.4355
Bi 0.3715 0.5383 0.1859
Bi 0.3715 0.9617 0.6859
Bi 0.6285 0.0383 0.3141
Bi 0.6285 0.4617 0.8141
Bi 0.6399 0.6941 0.5645
Bi 0.6399 0.8059 0.0645
Bi 0.8601 0.1941 0.5645
Bi 0.8601 0.3059 0.0645
Bi 0.8715 0.5383 0.3141
Bi 0.8715 0.9617 0.8141
Pt 0.0028 0.6661 0.1290
Pt 0.0028 0.8339 0.6290
Pt 0.4972 0.1661 0.1290
Pt 0.4972 0.3339 0.6290
Pt 0.5028 0.6661 0.3710
Pt 0.5028 0.8339 0.8710
Pt 0.9972 0.1661 0.3710
Pt 0.9972 0.3339 0.8710

Output
Its energy relative to the elements is -0.247 eV/atom.



DFT (PBE) results for a geometry-optimized Bi2Pt structure.

Unit cell a=4.1599 b=4.1599 c=5.6076 alpha=90.00 beta=90.00 gamma=120.00
Fractional positions:
Bi 0.3333 0.6667 0.2550
Bi 0.6667 0.3333 0.7450
Pt 0.0000 0.0000 0.0000

Output
Its energy relative to the elements is -0.210 eV/atom.



DFT (PBE) results for a geometry-optimized BiPt structure.

Unit cell a=3.8426 b=3.8426 c=7.4830 alpha=90.00 beta=90.00 gamma=120.00
Fractional positions:
Bi 0.0000 0.0000 0.0000
Bi 0.0000 0.0000 0.5000
Pt 0.3333 0.6667 0.2500
Pt 0.6667 0.3333 0.7500

Output
The value obtained for the total moment is 0.000 μB/atom. Its energy relative to the elements is -0.029 eV/atom.



DFT (PBE) results for a geometry-optimized Bi3SbPt2 structure.

Unit cell a=6.7650 b=6.7666 c=6.7683 alpha=90.00 beta=91.10 gamma=90.00
Fractional positions:
Bi 0.1197 0.0000 0.3708
Bi 0.3740 0.7538 0.8747
Bi 0.3791 0.2571 0.6297
Bi 0.6209 0.7571 0.3703
Bi 0.6260 0.2538 0.1253
Bi 0.8803 0.5000 0.6292
Sb 0.1229 0.5009 0.1266
Sb 0.8771 0.0009 0.8734
Pt 0.2372 0.1351 0.9995
Pt 0.2472 0.6247 0.4899
Pt 0.7528 0.1247 0.5101
Pt 0.7628 0.6351 0.0005

Output
The value obtained for the total moment is 0.000 μB/atom. Its energy relative to the elements is -0.290 eV/atom.



DFT (PBE) results for a geometry-optimized BiSbPt2 structure.

Unit cell a=4.3159 b=4.3159 c=5.6011 alpha=90.00 beta=90.00 gamma=120.00
Fractional positions:
Bi 0.0000 0.0000 0.0000
Sb 0.3333 0.6667 0.5000
Pt 0.6667 0.3333 0.2554
Pt 0.6667 0.3333 0.7446

Output
Its energy relative to the elements is -0.331 eV/atom.



DFT (PBE) results for a geometry-optimized TbBiPt structure.

Unit cell a=6.7623 b=6.7623 c=6.7623 alpha=90.00 beta=90.00 gamma=90.00
Fractional positions:
Tb 0.0000 0.0000 0.0000
Tb 0.0000 0.5000 0.5000
Tb 0.5000 0.0000 0.5000
Tb 0.5000 0.5000 0.0000
Bi 0.0000 0.0000 0.5000
Bi 0.0000 0.5000 0.0000
Bi 0.5000 0.0000 0.0000
Bi 0.5000 0.5000 0.5000
Pt 0.2500 0.2500 0.2500
Pt 0.2500 0.7500 0.7500
Pt 0.7500 0.2500 0.7500
Pt 0.7500 0.7500 0.2500

Output
Its energy relative to the elements is -1.036 eV/atom.



DFT (PBE) results for a geometry-optimized Tb5BiPt2 structure.

Unit cell a=8.8889 b=8.8889 c=8.8889 alpha=127.64 beta=127.64 gamma=77.20
Fractional positions:
Tb 0.0000 0.0000 0.0000
Tb 0.0212 0.5212 0.8140
Tb 0.2073 0.0212 0.5000
Tb 0.2927 0.7927 0.8140
Tb 0.4788 0.2927 0.5000
Tb 0.5000 0.5000 0.0000
Tb 0.5212 0.7073 0.5000
Tb 0.7073 0.2073 0.1860
Tb 0.7927 0.9788 0.5000
Tb 0.9788 0.4788 0.1860
Bi 0.2500 0.2500 0.0000
Bi 0.7500 0.7500 0.0000
Pt 0.1376 0.3624 0.5000
Pt 0.3624 0.8624 0.2249
Pt 0.6376 0.1376 0.7751
Pt 0.8624 0.6376 0.5000

Output
Its energy relative to the elements is -0.910 eV/atom.



DFT (PBE) results for a geometry-optimized BiTePt structure.

Unit cell a=6.7636 b=6.7636 c=6.7636 alpha=90.00 beta=90.00 gamma=90.00
Fractional positions:
Bi 0.1320 0.3680 0.6320
Bi 0.3680 0.6320 0.1320
Bi 0.6320 0.1320 0.3680
Bi 0.8680 0.8680 0.8680
Te 0.1271 0.1271 0.1271
Te 0.3729 0.8729 0.6271
Te 0.6271 0.3729 0.8729
Te 0.8729 0.6271 0.3729
Pt 0.0052 0.9948 0.4948
Pt 0.4948 0.0052 0.9948
Pt 0.5052 0.5052 0.5052
Pt 0.9948 0.4948 0.0052

Output
Its energy relative to the elements is -0.336 eV/atom.



DFT (PBE) results for a geometry-optimized Pu4Bi3 structure.

Unit cell a=8.2653 b=8.2653 c=8.2653 alpha=109.47 beta=109.47 gamma=109.47
Fractional positions:
Pu 0.0000 0.1595 0.5000
Pu 0.0000 0.6595 0.5000
Pu 0.1595 0.5000 0.0000
Pu 0.3405 0.3405 0.3405
Pu 0.5000 0.0000 0.1595
Pu 0.5000 0.0000 0.6595
Pu 0.6595 0.5000 0.0000
Pu 0.8405 0.8405 0.8405
Bi 0.1250 0.8750 0.2500
Bi 0.2500 0.1250 0.8750
Bi 0.3750 0.6250 0.7500
Bi 0.6250 0.7500 0.3750
Bi 0.7500 0.3750 0.6250
Bi 0.8750 0.2500 0.1250

Output
Its energy relative to the elements is -0.433 eV/atom.



DFT (PBE) results for a geometry-optimized PuBi3 structure.

Unit cell a=4.6146 b=4.6146 c=10.9771 alpha=90.00 beta=90.00 gamma=90.00
Fractional positions:
Pu 0.0000 0.0000 0.0000
Pu 0.5000 0.5000 0.5000
Bi 0.0000 0.0000 0.5000
Bi 0.0000 0.5000 0.2500
Bi 0.0000 0.5000 0.7500
Bi 0.5000 0.0000 0.2500
Bi 0.5000 0.0000 0.7500
Bi 0.5000 0.5000 0.0000

Output
The value obtained for the total moment is 0.115 μB/atom. Its energy relative to the elements is 0.306 eV/atom.



DFT (PBE) results for a geometry-optimized PuBi structure.

Unit cell a=3.8701 b=3.8701 c=3.8701 alpha=90.00 beta=90.00 gamma=90.00
Fractional positions:
Pu 0.0000 0.0000 0.0000
Bi 0.5000 0.5000 0.5000

Output
Its energy relative to the elements is -0.347 eV/atom.



DFT (PBE) results for a geometry-optimized PuBi structure.

Unit cell a=6.4391 b=6.4391 c=6.4391 alpha=90.00 beta=90.00 gamma=90.00
Fractional positions:
Pu 0.0000 0.0000 0.0000
Pu 0.0000 0.5000 0.5000
Pu 0.5000 0.0000 0.5000
Pu 0.5000 0.5000 0.0000
Bi 0.0000 0.0000 0.5000
Bi 0.0000 0.5000 0.0000
Bi 0.5000 0.0000 0.0000
Bi 0.5000 0.5000 0.5000

Output
Its energy relative to the elements is -0.355 eV/atom.



DFT (PBE) results for a geometry-optimized Rb3Bi structure.

Unit cell a=6.5388 b=6.5388 c=11.5924 alpha=90.00 beta=90.00 gamma=120.00
Fractional positions:
Rb 0.0000 0.0000 0.2500
Rb 0.0000 0.0000 0.7500
Rb 0.3333 0.6667 0.0817
Rb 0.3333 0.6667 0.4183
Rb 0.6667 0.3333 0.5817
Rb 0.6667 0.3333 0.9183
Bi 0.3333 0.6667 0.7500
Bi 0.6667 0.3333 0.2500

Output
Its energy relative to the elements is -0.319 eV/atom.



DFT (PBE) results for a geometry-optimized Rb3Bi2 structure.

Unit cell a=7.1341 b=7.1341 c=9.9383 alpha=101.20 beta=101.20 gamma=91.92
Fractional positions:
Rb 0.1674 0.8326 0.7500
Rb 0.2454 0.3397 0.0246
Rb 0.3397 0.2454 0.5246
Rb 0.6603 0.7546 0.4754
Rb 0.7546 0.6603 0.9754
Rb 0.8326 0.1674 0.2500
Bi 0.1176 0.6923 0.3423
Bi 0.3077 0.8824 0.1577
Bi 0.6923 0.1176 0.8423
Bi 0.8824 0.3077 0.6577

Output
Its energy relative to the elements is -0.305 eV/atom.



DFT (PBE) results for a geometry-optimized Rb3Bi structure.

Unit cell a=9.1467 b=9.1467 c=9.1467 alpha=90.00 beta=90.00 gamma=90.00
Fractional positions:
Rb 0.0000 0.0000 0.0000
Rb 0.0000 0.5000 0.5000
Rb 0.2500 0.2500 0.2500
Rb 0.2500 0.2500 0.7500
Rb 0.2500 0.7500 0.2500
Rb 0.2500 0.7500 0.7500
Rb 0.5000 0.0000 0.5000
Rb 0.5000 0.5000 0.0000
Rb 0.7500 0.2500 0.2500
Rb 0.7500 0.2500 0.7500
Rb 0.7500 0.7500 0.2500
Rb 0.7500 0.7500 0.7500
Bi 0.0000 0.0000 0.5000
Bi 0.0000 0.5000 0.0000
Bi 0.5000 0.0000 0.0000
Bi 0.5000 0.5000 0.5000

Output
Its energy relative to the elements is -0.291 eV/atom.



DFT (PBE) results for a geometry-optimized RbBi2 structure.

Unit cell a=6.8668 b=6.8668 c=6.8668 alpha=60.00 beta=60.00 gamma=60.00
Fractional positions:
Rb 0.1250 0.1250 0.1250
Rb 0.8750 0.8750 0.8750
Bi 0.0000 0.5000 0.5000
Bi 0.5000 0.0000 0.5000
Bi 0.5000 0.5000 0.0000
Bi 0.5000 0.5000 0.5000

Output
Its energy relative to the elements is -0.323 eV/atom.



DFT (PBE) results for a geometry-optimized RbBi3S5 structure.

Unit cell a=13.1375 b=18.7099 c=4.1776 alpha=90.00 beta=90.00 gamma=90.00
Fractional positions:
Rb 0.0802 0.1152 0.0000
Rb 0.4198 0.6152 0.5000
Rb 0.5802 0.3848 0.5000
Rb 0.9198 0.8848 0.0000
Bi 0.0552 0.6539 0.5000
Bi 0.1609 0.4712 0.0000
Bi 0.2319 0.8060 0.0000
Bi 0.2681 0.3060 0.5000
Bi 0.3391 0.9712 0.5000
Bi 0.4448 0.1539 0.0000
Bi 0.5552 0.8461 0.0000
Bi 0.6609 0.0288 0.5000
Bi 0.7319 0.6940 0.5000
Bi 0.7681 0.1940 0.0000
Bi 0.8391 0.5288 0.0000
Bi 0.9448 0.3461 0.5000
S 0.0000 0.0000 0.5000
S 0.0000 0.5000 0.5000
S 0.0960 0.7963 0.5000
S 0.1068 0.3276 0.0000
S 0.1887 0.6312 0.0000
S 0.2041 0.9466 0.0000
S 0.2959 0.4466 0.5000
S 0.3113 0.1312 0.5000
S 0.3932 0.8276 0.5000
S 0.4040 0.2963 0.0000
S 0.5000 0.0000 0.0000
S 0.5000 0.5000 0.0000
S 0.5960 0.7037 0.0000
S 0.6068 0.1724 0.5000
S 0.6887 0.8688 0.5000
S 0.7041 0.5534 0.5000
S 0.7959 0.0534 0.0000
S 0.8113 0.3688 0.0000
S 0.8932 0.6724 0.0000
S 0.9040 0.2037 0.5000

Output
The value obtained for the total moment is 0.018 μB/atom. Its energy relative to the elements is -0.703 eV/atom.